{"formula": "Na6MnSe4", "functional": "GGA-PBE", "state": "relaxed", "cell": [[4.710, -8.159, 0.000], [4.710, 8.159, 0.000], [0.000, 0.000, 7.275]], "species": ["Na", "Na", "Na", "Na", "Na", "Na", "Na", "Na", "Na", "Na", "Na", "Na", "Se", "Se", "Se", "Se", "Se", "Se", "Se", "Se", "Mn", "Mn"], "frac_coords": [[0.148, 0.852, 0.540], [0.531, 0.469, 0.371], [0.704, 0.852, 0.540], [0.531, 0.062, 0.371], [0.852, 0.704, 0.040], [0.148, 0.296, 0.540], [0.852, 0.148, 0.040], [0.469, 0.531, 0.871], [0.469, 0.938, 0.871], [0.062, 0.531, 0.871], [0.938, 0.469, 0.371], [0.296, 0.148, 0.040], [0.186, 0.814, 0.143], [0.628, 0.814, 0.143], [0.186, 0.372, 0.143], [0.814, 0.628, 0.643], [0.333, 0.667, 0.601], [0.372, 0.186, 0.643], [0.814, 0.186, 0.643], [0.667, 0.333, 0.101], [0.333, 0.667, 0.251], [0.667, 0.333, 0.751]], "e_ij_max_c_m2": 0.4, "total_energy_ev_per_cell": -83.643, "formation_energy_kj_per_mol_atoms": -110.77, "energy_mp2020_ev_per_atom": -3.9736}


{"formula": "Cu2HgI4", "functional": "GGA-PBE", "state": "relaxed", "cell": [[2.187, 4.384, 5.164], [-5.412, -4.367, 1.519], [12.606, -13.495, 6.116]], "species": ["Cu", "Cu", "Cu", "Cu", "Hg", "Hg", "I", "I", "I", "I", "I", "I", "I", "I"], "frac_coords": [[0.500, 0.500, 0.000], [0.500, 0.000, 0.500], [0.000, 0.500, 0.000], [0.500, 0.500, 0.500], [0.000, 0.500, 0.500], [0.500, 0.000, 0.000], [0.351, 0.681, 0.403], [0.351, 0.681, 0.597], [0.649, 0.319, 0.597], [0.681, 0.351, 0.903], [0.319, 0.649, 0.903], [0.649, 0.319, 0.403], [0.319, 0.649, 0.097], [0.681, 0.351, 0.097]], "total_energy_ev_per_cell": -28.904, "m_tot_mub_per_atom": 0.00, "formation_energy_kj_per_mol_atoms": -18.88, "energy_mp2020_ev_per_atom": -2.2812}


{"formula": "BaCuO2", "functional": "GGA-PBE", "state": "relaxed", "cell": [[-5.261, 1.344, -1.906], [1.643, -6.878, -9.384], [-1.433, -2.927, 1.895]], "species": ["O", "O", "O", "O", "O", "O", "O", "O", "Ba", "Ba", "Ba", "Ba", "Cu", "Cu", "Cu", "Cu"], "frac_coords": [[0.476, 0.001, 0.001], [0.521, 0.253, 0.030], [0.977, 0.999, 0.000], [0.023, 0.499, 0.000], [0.021, 0.748, 0.972], [0.479, 0.753, 0.970], [0.979, 0.248, 0.028], [0.524, 0.501, 0.999], [0.724, 0.888, 0.495], [0.776, 0.613, 0.494], [0.224, 0.113, 0.506], [0.276, 0.388, 0.505], [0.264, 0.626, 0.985], [0.736, 0.126, 0.015], [0.236, 0.874, 0.986], [0.764, 0.374, 0.014]], "total_energy_ev_per_cell": -88.241, "m_tot_mub_per_atom": 0.00, "formation_energy_kj_per_mol_atoms": -181.40, "energy_mp2020_ev_per_atom": -5.8586}